i | A relaxed structure of UBi4As2O16, computed with PBE.

Output
Its crystal system is triclinic. Its space-group type is P-1.

Unit cell a=5.5980 b=6.7049 c=10.9774 alpha=75.49 beta=78.84 gamma=71.97
Last column: nearest neighbours and their distance in Å.
Fractional coordinates of all 23 atoms:
U: 0.0000 0.0000 0.0000  2 O 1.85
Bi: 0.0027 0.4055 0.6759  4 O 2.22-2.44
Bi: 0.4131 0.7712 0.5420  5 O 2.05-2.28
Bi: 0.5869 0.2288 0.4580  5 O 2.05-2.28
Bi: 0.9973 0.5945 0.3241  4 O 2.22-2.44
As: 0.3717 0.0695 0.2260  4 O 1.70-1.74
As: 0.6283 0.9305 0.7740  4 O 1.70-1.74
O: 0.1605 0.7306 0.0856  1 U 1.85
O: 0.1734 0.1432 0.1133  1 As 1.70
O: 0.1792 0.6506 0.6912  2 Bi 2.05-2.22
O: 0.2590 0.5003 0.4824  3 Bi 2.18-2.38
O: 0.2761 0.0959 0.5660  2 Bi 2.14-2.20
O: 0.2844 0.8698 0.3459  1 As 1.74
O: 0.3226 0.0330 0.8397  1 As 1.72
O: 0.3559 0.2880 0.2879  1 As 1.73
O: 0.6441 0.7120 0.7121  1 As 1.73
O: 0.6774 0.9670 0.1603  1 As 1.72
O: 0.7156 0.1302 0.6541  1 As 1.74
O: 0.7239 0.9041 0.4340  2 Bi 2.14-2.20
O: 0.7410 0.4997 0.5176  3 Bi 2.18-2.38
O: 0.8208 0.3494 0.3088  2 Bi 2.05-2.22
O: 0.8266 0.8568 0.8867  1 As 1.70
O: 0.8395 0.2694 0.9144  1 U 1.85

***

ii | A relaxed structure of UBi4As2O16, computed with PBE.

Output
Its crystal system is orthorhombic. Its space-group type is Pbcm.

Unit cell a=5.6945 b=12.6545 c=21.6909 alpha=90.00 beta=90.00 gamma=90.00
Last column: nearest neighbours and their distance in Å.
Fractional coordinates of all 92 atoms:
U: 0.2494 0.0280 0.2500  2 O 1.81-1.82
U: 0.2494 0.4720 0.7500  2 O 1.81-1.82
U: 0.7506 0.5280 0.2500  2 O 1.81-1.82
U: 0.7506 0.9720 0.7500  2 O 1.81-1.82
Bi: 0.1434 0.6086 0.5230  5 O 2.08-2.33
Bi: 0.1434 0.6086 0.9770  5 O 2.08-2.33
Bi: 0.1434 0.8914 0.0230  5 O 2.08-2.33
Bi: 0.1434 0.8914 0.4770  5 O 2.08-2.33
Bi: 0.3833 0.2324 0.0889  2 O 2.14-2.18
Bi: 0.3833 0.2324 0.4111  2 O 2.14-2.18
Bi: 0.3833 0.2676 0.5889  2 O 2.14-2.18
Bi: 0.3833 0.2676 0.9111  2 O 2.14-2.18
Bi: 0.6167 0.7324 0.0889  2 O 2.14-2.18
Bi: 0.6167 0.7324 0.4111  2 O 2.14-2.18
Bi: 0.6167 0.7676 0.5889  2 O 2.14-2.18
Bi: 0.6167 0.7676 0.9111  2 O 2.14-2.18
Bi: 0.8566 0.1086 0.5230  5 O 2.08-2.33
Bi: 0.8566 0.1086 0.9770  5 O 2.08-2.33
Bi: 0.8566 0.3914 0.0230  5 O 2.08-2.33
Bi: 0.8566 0.3914 0.4770  5 O 2.08-2.33
As: 0.2282 0.5117 0.1332  4 O 1.69-1.77
As: 0.2282 0.5117 0.3668  4 O 1.69-1.77
As: 0.2282 0.9883 0.6332  4 O 1.69-1.77
As: 0.2282 0.9883 0.8668  4 O 1.69-1.77
As: 0.7718 0.0117 0.1332  4 O 1.69-1.77
As: 0.7718 0.0117 0.3668  4 O 1.69-1.77
As: 0.7718 0.4883 0.6332  4 O 1.69-1.77
As: 0.7718 0.4883 0.8668  4 O 1.69-1.77
O: 0.9995 0.0723 0.1697  1 As 1.70
O: 0.9995 0.0723 0.3303  1 As 1.70
O: 0.9995 0.4277 0.6697  1 As 1.70
O: 0.9995 0.4277 0.8303  1 As 1.70
O: 0.0005 0.5723 0.1697  1 As 1.70
O: 0.0005 0.5723 0.3303  1 As 1.70
O: 0.0005 0.9277 0.6697  1 As 1.70
O: 0.0005 0.9277 0.8303  1 As 1.70
O: 0.0517 0.2500 0.0000  2 Bi 2.16
O: 0.0517 0.2500 0.5000  2 Bi 2.16
O: 0.1331 0.6048 0.7500  1 U 1.81
O: 0.1331 0.8952 0.2500  1 U 1.81
O: 0.1489 0.1073 0.5979  1 As 1.75
O: 0.1489 0.1073 0.9021  1 As 1.75
O: 0.1489 0.3927 0.0979  1 As 1.75
O: 0.1489 0.3927 0.4021  1 As 1.75
O: 0.1613 0.0577 0.0338  2 Bi 2.12-2.22
O: 0.1613 0.0577 0.4662  2 Bi 2.12-2.22
O: 0.1613 0.4423 0.5338  2 Bi 2.12-2.22
O: 0.1613 0.4423 0.9662  2 Bi 2.12-2.22
O: 0.3263 0.5953 0.0729  1 As 1.77
O: 0.3263 0.5953 0.4271  1 As 1.77
O: 0.3263 0.9047 0.5729  1 As 1.77
O: 0.3263 0.9047 0.9271  1 As 1.77
O: 0.3314 0.6541 0.6009  2 Bi 2.08-2.18
O: 0.3314 0.6541 0.8991  2 Bi 2.08-2.18
O: 0.3314 0.8459 0.1009  2 Bi 2.08-2.18
O: 0.3314 0.8459 0.3991  2 Bi 2.08-2.18
O: 0.3404 0.1661 0.2500  1 U 1.82
O: 0.3404 0.3339 0.7500  1 U 1.82
O: 0.4593 0.7500 0.0000  2 Bi 2.14
O: 0.4593 0.7500 0.5000  2 Bi 2.14
O: 0.4621 0.0077 0.6797  1 As 1.69
O: 0.4621 0.0077 0.8203  1 As 1.69
O: 0.4621 0.4923 0.1797  1 As 1.69
O: 0.4621 0.4923 0.3203  1 As 1.69
O: 0.5379 0.5077 0.6797  1 As 1.69
O: 0.5379 0.5077 0.8203  1 As 1.69
O: 0.5379 0.9923 0.1797  1 As 1.69
O: 0.5379 0.9923 0.3203  1 As 1.69
O: 0.5407 0.2500 0.0000  2 Bi 2.14
O: 0.5407 0.2500 0.5000  2 Bi 2.14
O: 0.6596 0.6661 0.2500  1 U 1.82
O: 0.6596 0.8339 0.7500  1 U 1.82
O: 0.6686 0.1541 0.6009  2 Bi 2.08-2.18
O: 0.6686 0.1541 0.8991  2 Bi 2.08-2.18
O: 0.6686 0.3459 0.1009  2 Bi 2.08-2.18
O: 0.6686 0.3459 0.3991  2 Bi 2.08-2.18
O: 0.6737 0.0953 0.0729  1 As 1.77
O: 0.6737 0.0953 0.4271  1 As 1.77
O: 0.6737 0.4047 0.5729  1 As 1.77
O: 0.6737 0.4047 0.9271  1 As 1.77
O: 0.8387 0.5577 0.0338  2 Bi 2.12-2.22
O: 0.8387 0.5577 0.4662  2 Bi 2.12-2.22
O: 0.8387 0.9423 0.5338  2 Bi 2.12-2.22
O: 0.8387 0.9423 0.9662  2 Bi 2.12-2.22
O: 0.8511 0.6073 0.5979  1 As 1.75
O: 0.8511 0.6073 0.9021  1 As 1.75
O: 0.8511 0.8927 0.0979  1 As 1.75
O: 0.8511 0.8927 0.4021  1 As 1.75
O: 0.8669 0.1048 0.7500  1 U 1.81
O: 0.8669 0.3952 0.2500  1 U 1.81
O: 0.9483 0.7500 0.0000  2 Bi 2.16
O: 0.9483 0.7500 0.5000  2 Bi 2.16

***

Most stable structure: i

***

i | A relaxed structure of Sr3BiAs, computed with PBE.

Output
Its crystal system is cubic. Its space-group type is Pm-3m.

Unit cell a=5.8800 b=5.8800 c=5.8800 alpha=90.00 beta=90.00 gamma=90.00
Last column: nearest neighbours and their distance in Å.
Fractional coordinates of all 5 atoms:
Sr: 0.0000 0.0000 0.5000  2 As 2.94
Sr: 0.0000 0.5000 0.0000  2 As 2.94
Sr: 0.5000 0.0000 0.0000  2 As 2.94
Bi: 0.5000 0.5000 0.5000  12 Sr 4.16
As: 0.0000 0.0000 0.0000  6 Sr 2.94

***

ii | A relaxed structure of Sr3BiAs, computed with PBE.

Output
Its crystal system is cubic. Its space-group type is Pm-3m.

Unit cell a=6.1968 b=6.1968 c=6.1968 alpha=90.00 beta=90.00 gamma=90.00
Last column: nearest neighbours and their distance in Å.
Fractional coordinates of all 5 atoms:
Sr: 0.0000 0.0000 0.5000  2 Bi 3.10
Sr: 0.0000 0.5000 0.0000  2 Bi 3.10
Sr: 0.5000 0.0000 0.0000  2 Bi 3.10
Bi: 0.0000 0.0000 0.0000  6 Sr 3.10
As: 0.5000 0.5000 0.5000  12 Sr 4.38

***

Most stable structure: i

***

i | A relaxed structure of CaAs3F15, computed with PBE.

Output
Its crystal system is triclinic. Its space-group type is P1.

Unit cell a=10.3174 b=10.6844 c=22.1113 alpha=90.02 beta=90.00 gamma=90.00
Last column: nearest neighbours and their distance in Å.
Fractional coordinates of all 152 atoms:
Ca: 0.0000 0.0000 0.0000  8 F 2.36-2.53
Ca: 0.9998 0.0012 0.4985  8 F 2.36-2.51
Ca: 0.0000 0.5003 0.6194  8 F 2.36-2.52
Ca: 0.0000 0.5043 0.1192  8 F 2.36-2.50
Ca: 0.5000 0.2609 0.7491  8 F 2.35-2.52
Ca: 0.5001 0.2685 0.2495  7 F 2.35-2.45
Ca: 0.5001 0.7590 0.3720  7 F 2.36-2.48
Ca: 0.4999 0.7615 0.8690  8 F 2.36-2.52
As: 0.0000 0.8766 0.1796  4 F 1.82-1.92
As: 0.2432 0.0643 0.8547  6 F 1.74-1.81
As: 0.2431 0.5660 0.2632  6 F 1.73-1.82
As: 0.2436 0.5644 0.7629  6 F 1.74-1.80
As: 0.2446 0.0641 0.3543  6 F 1.73-1.82
As: 0.2564 0.6969 0.5130  6 F 1.74-1.80
As: 0.2566 0.1974 0.1053  6 F 1.74-1.81
As: 0.2570 0.1971 0.6046  6 F 1.74-1.80
As: 0.2576 0.6970 0.0128  6 F 1.75-1.80
As: 0.4801 0.3824 0.4327  3 F 1.75-1.80
As: 0.4803 0.3830 0.9323  3 F 1.75-1.80
As: 0.4804 0.8827 0.6854  3 F 1.75-1.80
As: 0.5002 0.8780 0.1791  2 F 1.75
As: 0.7433 0.1976 0.1050  6 F 1.74-1.81
As: 0.7433 0.1977 0.6046  6 F 1.74-1.81
As: 0.7426 0.6973 0.0126  6 F 1.74-1.80
As: 0.7440 0.6975 0.5131  6 F 1.74-1.80
As: 0.7557 0.0644 0.3541  6 F 1.73-1.82
As: 0.7572 0.0649 0.8548  6 F 1.74-1.80
As: 0.7567 0.5650 0.7629  6 F 1.74-1.80
As: 0.7568 0.5663 0.2629  6 F 1.73-1.81
As: 0.9801 0.3793 0.4352  3 F 1.75-1.80
As: 0.9803 0.3791 0.9355  3 F 1.75-1.80
As: 0.9802 0.8792 0.6823  3 F 1.75-1.81
F: 0.9998 0.7109 0.1602  1 As 1.82
F: 0.9999 0.9316 0.1014  1 As 1.83
F: 0.0075 0.2192 0.4560  1 As 1.79
F: 0.0075 0.7192 0.6612  1 As 1.79
F: 0.0075 0.2190 0.9565  1 As 1.79
F: 0.0090 0.4308 0.0119  1 As 1.80
F: 0.0092 0.4308 0.5117  1 As 1.80
F: 0.0093 0.9307 0.6058  1 As 1.81
F: 0.1413 0.4959 0.7058  1 As 1.80
F: 0.1412 0.9960 0.9116  1 As 1.80
F: 0.1434 0.4965 0.2060  1 As 1.79
F: 0.1426 0.9957 0.4114  1 As 1.80
F: 0.1459 0.6976 0.2702  1 As 1.73
F: 0.1481 0.1988 0.8495  1 As 1.74
F: 0.1481 0.6987 0.7678  1 As 1.74
F: 0.1494 0.1987 0.3493  1 As 1.74
F: 0.1511 0.1324 0.5478  1 As 1.80
F: 0.1509 0.6322 0.5696  1 As 1.80
F: 0.1525 0.1325 0.0483  1 As 1.80
F: 0.1528 0.3321 0.6089  1 As 1.80
F: 0.1526 0.6329 0.0695  1 As 1.79
F: 0.1526 0.8320 0.5086  1 As 1.80
F: 0.1543 0.4892 0.8188  1 As 1.74
F: 0.1543 0.9892 0.7986  1 As 1.74
F: 0.1548 0.3341 0.1085  1 As 1.80
F: 0.1547 0.8320 0.0085  1 As 1.79
F: 0.1564 0.9888 0.2984  1 As 1.73
F: 0.1566 0.4878 0.3193  1 As 1.74
F: 0.1629 0.1341 0.1630  1 As 1.74
F: 0.1640 0.1291 0.6620  1 As 1.75
F: 0.1642 0.6290 0.4554  1 As 1.75
F: 0.1648 0.6290 0.9554  1 As 1.75
F: 0.1858 0.8715 0.1742  1 As 1.92
F: 0.3123 0.3920 0.4223  1 As 1.75
F: 0.3123 0.3921 0.9222  1 As 1.75
F: 0.3123 0.8921 0.6952  1 As 1.75
F: 0.3383 0.6291 0.7050  1 As 1.75
F: 0.3380 0.6338 0.2059  1 As 1.76
F: 0.3385 0.1292 0.9124  1 As 1.75
F: 0.3397 0.1287 0.4120  1 As 1.75
F: 0.3444 0.2744 0.5484  1 As 1.74
F: 0.3443 0.7743 0.5690  1 As 1.74
F: 0.3465 0.2723 0.0491  1 As 1.74
F: 0.3471 0.4286 0.7595  1 As 1.80
F: 0.3471 0.9286 0.8578  1 As 1.80
F: 0.3479 0.7740 0.0687  1 As 1.75
F: 0.3488 0.4313 0.2593  1 As 1.81
F: 0.3494 0.9282 0.3571  1 As 1.81
F: 0.3503 0.1293 0.7980  1 As 1.81
F: 0.3505 0.6294 0.8194  1 As 1.80
F: 0.3524 0.1292 0.2974  1 As 1.82
F: 0.3518 0.6309 0.3197  1 As 1.82
F: 0.3543 0.0632 0.1005  1 As 1.76
F: 0.3555 0.0649 0.5982  1 As 1.75
F: 0.3561 0.5646 0.0189  1 As 1.75
F: 0.3555 0.5650 0.5190  1 As 1.75
F: 0.3594 0.2651 0.6615  1 As 1.80
F: 0.3591 0.7655 0.4561  1 As 1.80
F: 0.3600 0.7650 0.9557  1 As 1.80
F: 0.3614 0.2648 0.1622  1 As 1.81
F: 0.4997 0.0341 0.2025  1 As 1.75
F: 0.5000 0.8276 0.2543  1 As 1.75
F: 0.5075 0.0428 0.7061  1 As 1.79
F: 0.5077 0.5424 0.4116  1 As 1.79
F: 0.5075 0.5427 0.9111  1 As 1.79
F: 0.5093 0.3314 0.8558  1 As 1.80
F: 0.5094 0.3315 0.3561  1 As 1.80
F: 0.5091 0.8314 0.7618  1 As 1.80
F: 0.6390 0.2647 0.1624  1 As 1.81
F: 0.6400 0.7660 0.9558  1 As 1.80
F: 0.6412 0.2661 0.6616  1 As 1.80
F: 0.6416 0.7665 0.4560  1 As 1.80
F: 0.6462 0.0628 0.1005  1 As 1.76
F: 0.6465 0.5636 0.0177  1 As 1.74
F: 0.6481 0.0633 0.5995  1 As 1.74
F: 0.6485 0.1286 0.2969  1 As 1.82
F: 0.6480 0.5634 0.5179  1 As 1.74
F: 0.6486 0.6318 0.3192  1 As 1.81
F: 0.6498 0.9292 0.3577  1 As 1.81
F: 0.6512 0.1295 0.7979  1 As 1.80
F: 0.6510 0.6297 0.8195  1 As 1.80
F: 0.6525 0.2720 0.0494  1 As 1.74
F: 0.6517 0.4317 0.2587  1 As 1.80
F: 0.6516 0.7727 0.0688  1 As 1.75
F: 0.6528 0.4300 0.7584  1 As 1.80
F: 0.6529 0.9299 0.8589  1 As 1.80
F: 0.6543 0.2728 0.5486  1 As 1.74
F: 0.6544 0.7727 0.5689  1 As 1.74
F: 0.6624 0.1321 0.4113  1 As 1.75
F: 0.6622 0.6342 0.2056  1 As 1.76
F: 0.6639 0.1330 0.9121  1 As 1.75
F: 0.6641 0.6330 0.7053  1 As 1.75
F: 0.8121 0.3699 0.4454  1 As 1.75
F: 0.8122 0.3698 0.9453  1 As 1.75
F: 0.8122 0.8699 0.6721  1 As 1.75
F: 0.8139 0.8714 0.1742  1 As 1.92
F: 0.8374 0.1344 0.1626  1 As 1.74
F: 0.8372 0.6324 0.9547  1 As 1.75
F: 0.8384 0.1329 0.6623  1 As 1.75
F: 0.8382 0.6329 0.4551  1 As 1.75
F: 0.8424 0.4876 0.3196  1 As 1.75
F: 0.8432 0.9875 0.2985  1 As 1.73
F: 0.8444 0.4877 0.8190  1 As 1.74
F: 0.8444 0.9876 0.7984  1 As 1.74
F: 0.8445 0.8331 0.0090  1 As 1.79
F: 0.8456 0.3345 0.1080  1 As 1.80
F: 0.8471 0.3334 0.6078  1 As 1.80
F: 0.8473 0.8333 0.5097  1 As 1.80
F: 0.8479 0.1333 0.0478  1 As 1.80
F: 0.8483 0.6323 0.0689  1 As 1.79
F: 0.8504 0.1327 0.5480  1 As 1.81
F: 0.8506 0.6324 0.5696  1 As 1.80
F: 0.8534 0.1976 0.3481  1 As 1.75
F: 0.8547 0.6972 0.2702  1 As 1.73
F: 0.8555 0.1972 0.8483  1 As 1.75
F: 0.8555 0.6972 0.7690  1 As 1.75
F: 0.8571 0.4964 0.2062  1 As 1.79
F: 0.8574 0.9967 0.4116  1 As 1.80
F: 0.8593 0.4969 0.7058  1 As 1.80
F: 0.8594 0.9970 0.9116  1 As 1.79

***

ii | A relaxed structure of CaAs3F15, computed with PBE.

Output
Its crystal system is orthorhombic. Its space-group type is P2_12_12_1.

Unit cell a=10.3029 b=10.6592 c=11.2051 alpha=90.00 beta=90.00 gamma=90.00
Last column: nearest neighbours and their distance in Å.
Fractional coordinates of all 76 atoms:
Ca: 0.0002 0.1283 0.1287  8 F 2.37-2.47
Ca: 0.9998 0.6283 0.3713  8 F 2.37-2.47
Ca: 0.5002 0.3717 0.8713  8 F 2.37-2.47
Ca: 0.4998 0.8717 0.6287  8 F 2.37-2.47
As: 0.0151 0.7531 0.0105  3 F 1.74-1.80
As: 0.2444 0.0670 0.8434  6 F 1.74-1.81
As: 0.2443 0.5670 0.6565  6 F 1.74-1.81
As: 0.2557 0.4330 0.1565  6 F 1.74-1.81
As: 0.2556 0.9330 0.3434  6 F 1.74-1.81
As: 0.4849 0.2469 0.5105  3 F 1.74-1.80
As: 0.5151 0.7469 0.9895  3 F 1.74-1.80
As: 0.7444 0.4330 0.1566  6 F 1.74-1.81
As: 0.7443 0.9330 0.3435  6 F 1.74-1.81
As: 0.7557 0.0670 0.8435  6 F 1.74-1.81
As: 0.7556 0.5670 0.6566  6 F 1.74-1.81
As: 0.9849 0.2531 0.4895  3 F 1.74-1.80
F: 0.0075 0.2022 0.3377  1 As 1.80
F: 0.0077 0.4154 0.4520  1 As 1.80
F: 0.1419 0.1337 0.9572  1 As 1.80
F: 0.1419 0.6341 0.5432  1 As 1.80
F: 0.1462 0.9342 0.8321  1 As 1.74
F: 0.1468 0.4340 0.6671  1 As 1.74
F: 0.1485 0.4974 0.2679  1 As 1.80
F: 0.1483 0.9972 0.2317  1 As 1.81
F: 0.1515 0.7968 0.3516  1 As 1.81
F: 0.1519 0.2969 0.1485  1 As 1.81
F: 0.1552 0.1437 0.7338  1 As 1.74
F: 0.1555 0.6437 0.7668  1 As 1.74
F: 0.1604 0.0010 0.4553  1 As 1.75
F: 0.1598 0.4997 0.0441  1 As 1.75
F: 0.1837 0.7602 0.0222  1 As 1.74
F: 0.3163 0.2398 0.5222  1 As 1.74
F: 0.3402 0.5003 0.5441  1 As 1.75
F: 0.3396 0.9990 0.9553  1 As 1.75
F: 0.3445 0.3563 0.2668  1 As 1.74
F: 0.3448 0.8563 0.2338  1 As 1.74
F: 0.3481 0.7031 0.6485  1 As 1.81
F: 0.3485 0.2032 0.8516  1 As 1.81
F: 0.3517 0.0028 0.7317  1 As 1.81
F: 0.3515 0.5026 0.7679  1 As 1.80
F: 0.3532 0.5660 0.1671  1 As 1.74
F: 0.3538 0.0658 0.3321  1 As 1.74
F: 0.3581 0.3659 0.0432  1 As 1.80
F: 0.3581 0.8663 0.4572  1 As 1.80
F: 0.4923 0.5846 0.9520  1 As 1.80
F: 0.4925 0.7978 0.8377  1 As 1.80
F: 0.5075 0.2978 0.6623  1 As 1.80
F: 0.5077 0.0846 0.5480  1 As 1.80
F: 0.6419 0.3663 0.0428  1 As 1.80
F: 0.6419 0.8659 0.4568  1 As 1.80
F: 0.6462 0.5658 0.1679  1 As 1.74
F: 0.6468 0.0660 0.3329  1 As 1.74
F: 0.6485 0.0026 0.7321  1 As 1.80
F: 0.6483 0.5028 0.7683  1 As 1.81
F: 0.6515 0.7032 0.6484  1 As 1.81
F: 0.6519 0.2031 0.8515  1 As 1.81
F: 0.6552 0.3563 0.2662  1 As 1.74
F: 0.6555 0.8563 0.2332  1 As 1.74
F: 0.6598 0.0003 0.9559  1 As 1.75
F: 0.6604 0.4990 0.5447  1 As 1.75
F: 0.6837 0.7398 0.9778  1 As 1.74
F: 0.8163 0.2602 0.4778  1 As 1.74
F: 0.8402 0.9997 0.4559  1 As 1.75
F: 0.8396 0.5010 0.0447  1 As 1.75
F: 0.8445 0.1437 0.7332  1 As 1.74
F: 0.8448 0.6437 0.7662  1 As 1.74
F: 0.8481 0.7969 0.3515  1 As 1.81
F: 0.8485 0.2968 0.1484  1 As 1.81
F: 0.8517 0.4972 0.2683  1 As 1.81
F: 0.8515 0.9974 0.2321  1 As 1.80
F: 0.8532 0.9340 0.8329  1 As 1.74
F: 0.8538 0.4342 0.6679  1 As 1.74
F: 0.8581 0.1341 0.9568  1 As 1.80
F: 0.8581 0.6337 0.5428  1 As 1.80
F: 0.9923 0.9154 0.0480  1 As 1.80
F: 0.9925 0.7022 0.1623  1 As 1.80

***

Most stable structure: ii